A relaxed structure of Na2FeO3, computed with GGA+U.

Cell: 10.136 9.554 5.662 Å, 79.03 67.72 33.26°
Element x y z (fractional)
Na: 0.046 0.046 0.204
Na: 0.119 0.119 0.631
Na: 0.204 0.204 0.046
Na: 0.369 0.369 0.881
Na: 0.631 0.631 0.119
Na: 0.796 0.796 0.954
Na: 0.881 0.881 0.369
Na: 0.954 0.954 0.796
Fe: 0.290 0.290 0.460
Fe: 0.460 0.460 0.290
Fe: 0.540 0.540 0.710
Fe: 0.710 0.710 0.540
O: 0.008 0.551 0.264
O: 0.183 0.567 0.567
O: 0.264 0.678 0.008
O: 0.322 0.736 0.449
O: 0.433 0.817 0.817
O: 0.449 0.992 0.322
O: 0.551 0.008 0.678
O: 0.567 0.183 0.183
O: 0.678 0.264 0.551
O: 0.736 0.322 0.992
O: 0.817 0.433 0.433
O: 0.992 0.449 0.736

Crystal system ... orthorhombic
Calculated formation energy ... -1.6358 eV per atom
Energy above the most stable polymorph in this dataset ... 2 meV/atom
Raw total energy ... -5.243 eV per atom

A relaxed structure of VOF, computed with GGA+U.

Cell: 12.510 4.721 4.721 Å, 90.19 90.00 90.00°
Element x y z (fractional)
V: 0.000 0.000 0.000
V: 0.124 0.500 0.441
V: 0.250 0.932 0.949
V: 0.376 0.500 0.441
V: 0.500 0.000 0.000
V: 0.624 0.441 0.500
V: 0.750 0.949 0.932
V: 0.876 0.441 0.500
O: 0.000 0.289 0.289
O: 0.124 0.787 0.154
O: 0.250 0.661 0.645
O: 0.376 0.787 0.154
O: 0.500 0.289 0.289
O: 0.624 0.154 0.787
O: 0.750 0.645 0.661
O: 0.876 0.154 0.787
F: 0.000 0.679 0.679
F: 0.126 0.180 0.763
F: 0.250 0.280 0.238
F: 0.374 0.180 0.763
F: 0.500 0.679 0.679
F: 0.626 0.763 0.180
F: 0.750 0.238 0.280
F: 0.874 0.763 0.180

Crystal system ... orthorhombic
Calculated formation energy ... -2.8428 eV per atom
Raw total energy ... -7.209 eV per atom